# GGA+U TlP4W20O68, optimized geometry
data_TlP4W20O68
_chemical_formula_sum 'Tl1 P4 W20 O68'
_symmetry_space_group_name_H-M 'P 1'
_symmetry_Int_Tables_number 1
_cell_length_a 5.4148
_cell_length_b 6.7344
_cell_length_c 36.7768
_cell_angle_alpha 89.76
_cell_angle_beta 89.99
_cell_angle_gamma 89.85
loop_
_symmetry_equiv_pos_as_xyz
'x,y,z'
loop_
_atom_site_label
_atom_site_type_symbol
_atom_site_fract_x
_atom_site_fract_y
_atom_site_fract_z
O1 O 0.2334 0.7653 0.9832
O2 O 0.7157 0.2394 0.6110
O3 O 0.4985 0.4097 0.1310
O4 O 0.9841 0.9085 0.3295
O5 O 0.2127 0.5724 0.6903
O6 O 0.0123 0.0974 0.8301
O7 O 0.4849 0.2416 0.2845
O8 O 0.7365 0.0675 0.8928
O9 O 0.5011 0.8859 0.7206
O10 O 0.2130 0.2607 0.3478
O11 O 0.2487 0.5918 0.3041
O12 O 0.2295 0.4296 0.0691
O13 O 0.7202 0.9022 0.5253
O14 O 0.2783 0.6060 0.5624
O15 O 0.5086 0.0862 0.9591
O16 O 0.2714 0.7606 0.1126
O17 O 0.5181 0.4170 0.8729
O18 O 0.6994 0.9175 0.2690
O19 O 0.2624 0.9306 0.3915
O20 O 0.2786 0.0963 0.0264
O21 O 0.2117 0.5974 0.4337
O22 O 0.9885 0.2473 0.4148
O23 O 0.7749 0.5694 0.5679
O24 O 0.0070 0.4148 0.0030
O25 O 0.7135 0.5625 0.4381
O26 O 0.2413 0.4415 0.8067
O27 O 0.7290 0.0667 0.1536
O28 O 0.4976 0.1176 0.2206
O29 O 0.5043 0.7501 0.0455
O30 O 0.9995 0.0813 0.0900
O31 O 0.0216 0.3661 0.7384
O32 O 0.9955 0.7407 0.1760
O33 O 0.2864 0.4358 0.9399
O34 O 0.7783 0.8917 0.6572
O35 O 0.7607 0.8987 0.3955
O36 O 0.7675 0.2311 0.4815
O37 O 0.7441 0.5409 0.6950
O38 O 0.2325 0.0915 0.1564
O39 O 0.7831 0.4163 0.1916
O40 O 0.0008 0.2458 0.6744
O41 O 0.0035 0.9145 0.5885
O42 O 0.2150 0.9371 0.5205
O43 O 0.9816 0.6178 0.2400
O44 O 0.2695 0.2653 0.4769
O45 O 0.8104 0.7423 0.8488
O46 O 0.5205 0.7745 0.7845
O47 O 0.2188 0.2825 0.6063
O48 O 0.7712 0.7343 0.1089
O49 O 0.2376 0.1027 0.8968
O50 O 0.7890 0.4005 0.9360
O51 O 0.7805 0.0651 0.0222
O52 O 0.2309 0.9435 0.2657
O53 O 0.7139 0.2331 0.3516
O54 O 0.4908 0.9104 0.4583
O55 O 0.7302 0.4001 0.0650
O56 O 0.2945 0.0913 0.7688
O57 O 0.4858 0.5802 0.3706
O58 O 0.9927 0.5835 0.5009
O59 O 0.2511 0.4439 0.1949
O60 O 0.0152 0.7507 0.9168
O61 O 0.2961 0.7778 0.8530
O62 O 0.5022 0.5907 0.6295
O63 O 0.7580 0.0786 0.7651
O64 O 0.4954 0.2513 0.5437
O65 O 0.7332 0.7339 0.9786
O66 O 0.7518 0.5682 0.3069
O67 O 0.7473 0.4206 0.8036
O68 O 0.2824 0.9304 0.6531
W1 W 0.5022 0.5823 0.0861
W2 W 0.4956 0.4080 0.5853
W3 W 0.9842 0.7484 0.2889
W4 W 0.9881 0.0796 0.3742
W5 W 0.5104 0.2612 0.9163
W6 W 0.4980 0.2478 0.1716
W7 W 0.4834 0.4100 0.3308
W8 W 0.9967 0.7429 0.5431
W9 W 0.4930 0.0774 0.5006
W10 W 0.9918 0.4127 0.4585
W11 W 0.0081 0.9194 0.8767
W12 W 0.0058 0.2459 0.0452
W13 W 0.0131 0.2608 0.7906
W14 W 0.5057 0.7471 0.6697
W15 W 0.0082 0.5818 0.9610
W16 W 0.5172 0.6014 0.8320
W17 W 0.9993 0.0807 0.6280
W18 W 0.5072 0.9210 0.0012
W19 W 0.0020 0.9092 0.1301
W20 W 0.4880 0.7450 0.4161
P1 P 0.0031 0.5523 0.1999
P2 P 0.4775 0.0544 0.2608
P3 P 0.9941 0.4315 0.6979
P4 P 0.5188 0.9606 0.7599
Tl1 Tl 0.0255 0.7437 0.7577
# - Formation enthalpy at 0 K: -2238 meV/atom
# - Magnetic moment: 5.02 μB/cell
# - Total energy: -7.444 eV per atom



# GGA+U VP2O7, optimized geometry
data_VP2O7
_chemical_formula_sum 'V4 P8 O28'
_symmetry_space_group_name_H-M 'P 1'
_symmetry_Int_Tables_number 1
_cell_length_a 6.3674
_cell_length_b 9.4806
_cell_length_c 10.5964
_cell_angle_alpha 115.32
_cell_angle_beta 85.42
_cell_angle_gamma 106.46
loop_
_symmetry_equiv_pos_as_xyz
'x,y,z'
loop_
_atom_site_label
_atom_site_type_symbol
_atom_site_fract_x
_atom_site_fract_y
_atom_site_fract_z
P1 P 0.8913 0.5501 0.6989
P2 P 0.6904 0.2023 0.9661
P3 P 0.9446 0.8166 0.2199
P4 P 0.4079 0.6786 0.5390
P5 P 0.5921 0.3214 0.4610
P6 P 0.1087 0.4499 0.3011
P7 P 0.0554 0.1834 0.7801
P8 P 0.3096 0.7977 0.0339
O1 O 0.0551 0.4757 0.7257
O2 O 0.5511 0.0676 0.8332
O3 O 0.0747 0.7375 0.0862
O4 O 0.2691 0.8944 0.9485
O5 O 0.7309 0.1056 0.0515
O6 O 0.3170 0.4702 0.2197
O7 O 0.9329 0.1030 0.6415
O8 O 0.0102 0.2746 0.2814
O9 O 0.4267 0.6716 0.6820
O10 O 0.7277 0.6719 0.1956
O11 O 0.3586 0.8515 0.5919
O12 O 0.2723 0.3281 0.8044
O13 O 0.8094 0.4560 0.5413
O14 O 0.1906 0.5440 0.4587
O15 O 0.9898 0.7254 0.7186
O16 O 0.0654 0.8827 0.3543
O17 O 0.6414 0.1485 0.4081
O18 O 0.1255 0.0536 0.8173
O19 O 0.5733 0.3284 0.3180
O20 O 0.9414 0.5118 0.2658
O21 O 0.9253 0.2625 0.9138
O22 O 0.6830 0.5298 0.7803
O23 O 0.6064 0.3472 0.0578
O24 O 0.3936 0.6528 0.9422
O25 O 0.8745 0.9464 0.1827
O26 O 0.5975 0.6509 0.4448
O27 O 0.4025 0.3491 0.5552
O28 O 0.4535 0.9195 0.1624
V1 V 0.6273 0.5019 0.2425
V2 V 0.3727 0.4981 0.7575
V3 V 0.2694 0.9055 0.7784
V4 V 0.7306 0.0945 0.2216
# - Formation enthalpy at 0 K: -2498 meV/atom
# - Magnetic moment: 0.00 μB/cell
# - Total energy: -7.302 eV per atom



# GGA+U V2P3O11, optimized geometry
data_V2P3O11
_chemical_formula_sum 'V4 P6 O22'
_symmetry_space_group_name_H-M 'P 1'
_symmetry_Int_Tables_number 1
_cell_length_a 7.2502
_cell_length_b 7.2502
_cell_length_c 8.9001
_cell_angle_alpha 70.71
_cell_angle_beta 70.71
_cell_angle_gamma 71.83
loop_
_symmetry_equiv_pos_as_xyz
'x,y,z'
loop_
_atom_site_label
_atom_site_type_symbol
_atom_site_fract_x
_atom_site_fract_y
_atom_site_fract_z
O1 O 0.5186 0.4814 0.2500
O2 O 0.0497 0.7669 0.7090
O3 O 0.0139 0.1416 0.6010
O4 O 0.4642 0.1540 0.8699
O5 O 0.1416 0.0139 0.1010
O6 O 0.2536 0.3898 0.6704
O7 O 0.6102 0.7464 0.8296
O8 O 0.4814 0.5186 0.7500
O9 O 0.2782 0.6332 0.0673
O10 O 0.9503 0.2331 0.2910
O11 O 0.6332 0.2782 0.5673
O12 O 0.7218 0.3668 0.9327
O13 O 0.7669 0.0497 0.2090
O14 O 0.3668 0.7218 0.4327
O15 O 0.5358 0.8460 0.1301
O16 O 0.8460 0.5358 0.6301
O17 O 0.9861 0.8584 0.3990
O18 O 0.8584 0.9861 0.8990
O19 O 0.2331 0.9503 0.7910
O20 O 0.1540 0.4642 0.3699
O21 O 0.3898 0.2536 0.1704
O22 O 0.7464 0.6102 0.3296
P1 P 0.0398 0.9602 0.7500
P2 P 0.3279 0.4563 0.2098
P3 P 0.9602 0.0398 0.2500
P4 P 0.4563 0.3279 0.7098
P5 P 0.5437 0.6721 0.2902
P6 P 0.6721 0.5437 0.7902
V1 V 0.6378 0.1108 0.0400
V2 V 0.8892 0.3622 0.4600
V3 V 0.1108 0.6378 0.5400
V4 V 0.3622 0.8892 0.9600
# - Formation enthalpy at 0 K: -2637 meV/atom
# - Total energy: -7.505 eV per atom